Record 1
! PBE In3Ni2, optimized geometry; values from VASP
&SYSTEM
  ibrav = 0, nat = 5, ntyp = 2
/
ATOMIC_SPECIES
Ni 58.69 Ni.upf
In 114.82 In.upf
CELL_PARAMETERS angstrom
2.223 -3.851 0.000
2.223 3.851 0.000
0.000 0.000 5.320
ATOMIC_POSITIONS angstrom
Ni 2.223 -1.284 4.576
Ni 2.223 1.284 0.744
In 2.223 1.284 3.433
In 0.000 0.000 0.000
In 2.223 -1.284 1.887
! E: -20.6 eV for the cell shown
! symmetry: P-3m1 (164)


Record 2
! PBE In3Ni, optimized geometry; values from VASP
&SYSTEM
  ibrav = 0, nat = 4, ntyp = 2
/
ATOMIC_SPECIES
In 114.82 In.upf
Ni 58.69 Ni.upf
CELL_PARAMETERS angstrom
4.423 0.000 0.000
0.000 4.423 0.000
0.000 0.000 4.423
ATOMIC_POSITIONS angstrom
In 0.000 2.211 2.211
In 2.211 2.211 0.000
In 2.211 0.000 2.211
Ni 0.000 0.000 0.000
! total magnetization: 0.00 μB/f.u.
! E: -13.1 eV for the cell shown
! symmetry: Pm-3m (221)


Record 3
! PBE In7Ni3, optimized geometry; values from VASP
&SYSTEM
  ibrav = 0, nat = 20, ntyp = 2
/
ATOMIC_SPECIES
Ni 58.69 Ni.upf
In 114.82 In.upf
CELL_PARAMETERS angstrom
4.541 -6.258 2.266
4.026 6.855 1.312
-6.836 0.042 4.265
ATOMIC_POSITIONS angstrom
Ni -0.817 -2.213 2.325
Ni 3.051 0.212 1.274
Ni -1.478 -4.003 4.206
Ni -1.001 2.456 1.986
Ni 5.517 0.384 2.305
Ni -1.809 4.441 3.591
In 1.297 2.208 0.423
In 1.173 0.433 5.317
In 3.710 -1.256 3.422
In 0.558 0.206 2.527
In 2.729 4.647 0.890
In 0.737 3.598 3.683
In -1.850 -1.384 4.660
In -4.634 0.028 2.891
In -2.202 0.014 1.374
In 3.581 2.023 3.184
In 0.994 -2.959 4.160
In 1.463 -2.016 0.730
In 3.078 -4.242 1.536
In -1.979 1.894 4.421
! E: -76.0 eV for the cell shown
! symmetry: Im-3m (229)


Record 4
! PBE In9Ni13, optimized geometry; values from VASP
&SYSTEM
  ibrav = 0, nat = 22, ntyp = 2
/
ATOMIC_SPECIES
In 114.82 In.upf
Ni 58.69 Ni.upf
CELL_PARAMETERS angstrom
0.462 -6.042 2.979
4.842 1.011 4.595
-2.480 -0.459 8.725
ATOMIC_POSITIONS angstrom
In 3.669 -0.770 6.228
In 2.867 -4.447 11.629
In 2.967 -3.749 8.313
In 1.691 -0.637 11.007
In 2.652 -2.515 3.787
In -0.845 -4.720 10.070
In -0.144 -1.741 7.986
In -0.043 -1.043 4.669
In 1.133 -4.853 5.292
Ni 0.389 -4.392 7.772
Ni -1.058 -1.751 10.505
Ni 0.172 -3.306 3.314
Ni -1.009 -3.251 5.852
Ni 2.279 0.086 4.091
Ni 1.181 0.276 6.660
Ni 0.000 0.000 0.000
Ni 1.614 -2.439 6.266
Ni 1.210 -3.051 10.033
Ni 3.882 -3.739 5.794
Ni 2.435 -1.098 8.527
Ni 0.545 -5.577 12.207
Ni 2.652 -2.184 12.985
! E: -102.3 eV for the cell shown
! symmetry: C2/m (12)


Record 5
! PBE In3Ni7, optimized geometry; values from VASP
&SYSTEM
  ibrav = 0, nat = 40, ntyp = 2
/
ATOMIC_SPECIES
Ni 58.69 Ni.upf
In 114.82 In.upf
CELL_PARAMETERS angstrom
-5.673 3.071 -1.121
-4.238 -7.872 0.145
1.062 2.828 9.335
ATOMIC_POSITIONS angstrom
Ni -6.300 0.040 1.667
Ni -4.116 -3.633 7.652
Ni -1.567 -0.816 1.893
Ni -5.910 1.287 6.575
Ni -3.476 1.713 7.352
Ni -3.780 -0.001 5.467
Ni -1.843 1.018 3.769
Ni -5.069 -1.972 2.892
Ni -7.282 -1.157 6.465
Ni -3.993 0.462 2.815
Ni -5.405 -4.968 5.959
Ni -3.032 -4.161 5.479
Ni -1.197 2.291 8.289
Ni -5.373 -3.686 1.007
Ni -4.060 -6.948 2.448
Ni -3.444 2.995 2.399
Ni 0.531 1.414 4.667
Ni -2.320 -0.209 8.547
Ni -4.733 1.660 0.706
Ni -7.652 -4.264 0.070
Ni -4.789 4.975 5.910
Ni -4.856 -2.435 5.544
Ni -7.006 -2.992 4.590
Ni 0.000 0.000 0.000
Ni -2.939 -3.260 1.784
Ni -5.817 2.188 2.880
Ni -6.529 -1.764 -0.188
Ni -2.549 -2.013 6.691
In -4.097 -1.069 0.684
In -4.752 -0.905 7.675
In -6.131 -0.168 4.367
In -7.580 -2.279 2.083
In -3.883 2.500 4.909
In -4.967 -4.473 3.450
In -6.823 -3.494 7.532
In -2.719 -1.805 3.992
In -1.269 0.306 6.275
In -5.480 3.393 8.189
In -2.026 1.520 0.827
In -3.369 -5.366 0.170
! total magnetization: 0.00 μB/f.u.
! E: -198.2 eV for the cell shown
! symmetry: P-1 (2)


Record 6
! PBE In3Ni, optimized geometry; values from VASP
&SYSTEM
  ibrav = 0, nat = 4, ntyp = 2
/
ATOMIC_SPECIES
Ni 58.69 Ni.upf
In 114.82 In.upf
CELL_PARAMETERS angstrom
-2.155 2.155 4.534
2.155 -2.155 4.534
2.155 2.155 -4.534
ATOMIC_POSITIONS angstrom
Ni 0.000 0.000 0.000
In 0.000 2.155 2.267
In 0.000 0.000 4.534
In 2.155 0.000 2.267
! total magnetization: 0.00 μB/f.u.
! E: -13.2 eV for the cell shown
! symmetry: I4/mmm (139)


Record 7
! PBE Np2InNi2, optimized geometry; values from VASP
&SYSTEM
  ibrav = 0, nat = 10, ntyp = 3
/
ATOMIC_SPECIES
In 114.82 In.upf
Ni 58.69 Ni.upf
Np 237.00 Np.upf
CELL_PARAMETERS angstrom
7.350 0.000 0.000
0.000 7.350 0.000
0.000 0.000 3.612
ATOMIC_POSITIONS angstrom
In 3.675 3.675 0.000
In 0.000 0.000 0.000
Ni 2.745 0.930 0.000
Ni 6.420 2.745 0.000
Ni 4.605 6.420 0.000
Ni 0.930 4.605 0.000
Np 6.093 4.933 1.806
Np 1.258 2.418 1.806
Np 2.418 6.093 1.806
Np 4.933 1.258 1.806
! total magnetization: 7.45 μB/f.u.
! E: -80.0 eV for the cell shown
! symmetry: P4/mbm (127)


Record 8
! PBE PaInNi2, optimized geometry; values from VASP
&SYSTEM
  ibrav = 0, nat = 4, ntyp = 3
/
ATOMIC_SPECIES
Pa 231.04 Pa.upf
In 114.82 In.upf
Ni 58.69 Ni.upf
CELL_PARAMETERS angstrom
0.000 3.283 3.283
3.283 0.000 3.283
3.283 3.283 0.000
ATOMIC_POSITIONS angstrom
Pa 0.000 0.000 0.000
In 3.283 3.283 3.283
Ni 1.642 1.642 1.642
Ni 4.925 4.925 4.925
! E: -25.0 eV for the cell shown
! symmetry: Fm-3m (225)


The highest E belongs to which entry? number 2